# 1
Density functional theory data (PBE) for a relaxed LiGdCl4 crystal.

Cell: 8.0811 8.0811 8.0811 Å, 132.41 132.41 69.57°
With the nearest neighbours (Å) after each atom.
Element x y z (fractional)
Li  0.7500  0.2500  0.5000  4 Cl 2.41
Li  0.0000  0.0000  0.0000  4 Cl 2.41
Gd  0.5000  0.5000  0.0000  8 Cl 2.78-2.88
Gd  0.2500  0.7500  0.5000  8 Cl 2.78-2.88
Cl  0.5470  0.5018  0.3882  1 Li 2.41
Cl  0.9088  0.7970  0.5451  1 Li 2.41
Cl  0.6363  0.0912  0.8882  1 Li 2.41
Cl  0.4982  0.8863  0.0451  1 Li 2.41
Cl  0.8412  0.4530  0.9549  1 Li 2.41
Cl  0.2030  0.7482  0.1118  1 Li 2.41
Cl  0.1137  0.1588  0.6118  1 Li 2.41
Cl  0.2518  0.3637  0.4549  1 Li 2.41

Properties
energy with MP2020 corrections = -76.9 eV per cell

***

# 2
Density functional theory data (PBE) for a relaxed NaCeAu2 crystal.

Cell: 5.1030 5.1030 5.1030 Å, 60.00 60.00 60.00°
With the nearest neighbours (Å) after each atom.
Element x y z (fractional)
Na  0.0000  0.0000  0.0000  8 Au 3.12
Ce  0.5000  0.5000  0.5000  8 Au 3.12
Au  0.7500  0.7500  0.7500  4 Ce 3.12, 4 Na 3.12
Au  0.2500  0.2500  0.2500  4 Ce 3.12, 4 Na 3.12

***

# 3
Density functional theory data (PBE) for a relaxed Er2AlGe4 crystal.

Cell: 4.1323 4.2207 8.6000 Å, 75.80 90.00 90.00°
With the nearest neighbours (Å) after each atom.
Element x y z (fractional)
Er  0.2500  0.9010  0.1981  10 Ge 3.04-3.09
Er  0.7500  0.1028  0.7944  10 Ge 3.16-3.45, 4 Al 3.22
Al  0.2500  0.6805  0.6390  5 Ge 2.41-2.54
Ge  0.2500  0.5359  0.9281  1 Al 2.41, 2 Ge 2.56
Ge  0.7500  0.4450  0.1099  2 Ge 2.56
Ge  0.2500  0.2653  0.4695  2 Al 2.54
Ge  0.7500  0.7665  0.4670  2 Al 2.52

Properties
total magnetization = 0.00 μB/f.u.

***

# 4
Density functional theory data (PBE) for a relaxed SrCe2Se4 crystal.

Cell: 7.8539 7.8539 7.8539 Å, 109.45 109.45 109.51°
With the nearest neighbours (Å) after each atom.
Element x y z (fractional)
Sr  0.7500  0.2500  0.5000  8 Se 3.10-3.27
Sr  0.5000  0.5000  0.0000  8 Se 3.10-3.27
Ce  0.9982  0.3750  0.1232  8 Se 3.00-3.23
Ce  0.2518  0.8750  0.8768  8 Se 3.00-3.23
Ce  0.6250  0.7482  0.6232  8 Se 3.00-3.23
Ce  0.1250  0.0018  0.3768  8 Se 3.00-3.23
Se  0.5199  0.1153  0.7490  4 Ce 3.00-3.23, 2 Sr 3.10-3.27
Se  0.0208  0.1163  0.7510  4 Ce 3.00-3.23, 2 Sr 3.10-3.27
Se  0.3653  0.2699  0.2490  4 Ce 3.00-3.23, 2 Sr 3.10-3.27
Se  0.2292  0.4801  0.5955  4 Ce 3.00-3.23, 2 Sr 3.10-3.27
Se  0.3663  0.7708  0.2510  4 Ce 3.00-3.23, 2 Sr 3.10-3.27
Se  0.8837  0.6347  0.9045  4 Ce 3.00-3.23, 2 Sr 3.10-3.27
Se  0.8847  0.6337  0.4045  4 Ce 3.00-3.23, 2 Sr 3.10-3.27
Se  0.7301  0.9792  0.0955  4 Ce 3.00-3.23, 2 Sr 3.10-3.27

Properties
energy with MP2020 corrections = -85.4 eV per cell
total magnetization = 2.00 μB/f.u.

***

# 5
Density functional theory data (PBE) for a relaxed NbW3S8 crystal.

Cell: 3.2369 5.6093 13.0712 Å, 90.00 90.00 90.00°
With the nearest neighbours (Å) after each atom.
Element x y z (fractional)
Nb  0.5000  0.8280  0.5000  6 S 2.46-2.48
W  0.0000  0.3385  0.5000  6 S 2.42-2.43
W  0.0000  0.6665  0.0000  6 S 2.43
W  0.5000  0.1666  0.0000  6 S 2.43
S  0.5000  0.8332  0.8809  3 W 2.43
S  0.0000  0.3333  0.8809  3 W 2.43
S  0.0000  0.6613  0.6224  1 W 2.42, 2 Nb 2.46
S  0.5000  0.1723  0.6188  2 W 2.43, 1 Nb 2.48
S  0.0000  0.6613  0.3776  1 W 2.42, 2 Nb 2.46
S  0.5000  0.1723  0.3812  2 W 2.43, 1 Nb 2.48
S  0.5000  0.8332  0.1191  3 W 2.43
S  0.0000  0.3333  0.1191  3 W 2.43

Properties
energy with MP2020 corrections = -96.4 eV per cell

***

# 6
Density functional theory data (PBE) for a relaxed HoAgSe2 crystal.

Cell: 7.4521 7.4521 7.4521 Å, 135.34 135.34 65.01°
With the nearest neighbours (Å) after each atom.
Element x y z (fractional)
Ho  0.7510  0.2510  0.5000  6 Se 2.84-2.90
Ho  0.0010  0.0010  0.0000  6 Se 2.84-2.90
Ag  0.2911  0.7911  0.5000  5 Se 2.84-2.94
Ag  0.5411  0.5411  0.0000  5 Se 2.84-2.94
Se  0.9777  0.4777  0.5000  3 Ho 2.85, 2 Ag 2.94
Se  0.2277  0.2277  0.0000  3 Ho 2.85, 2 Ag 2.94
Se  0.5202  0.0202  0.5000  3 Ho 2.84-2.90, 3 Ag 2.84-2.88
Se  0.7702  0.7702  0.0000  3 Ho 2.84-2.90, 3 Ag 2.84-2.88

Properties
energy with MP2020 corrections = -40.1 eV per cell
total magnetization = 0.00 μB/f.u.

***

# 7
Density functional theory data (PBE) for a relaxed Be3Rh crystal.

Cell: 4.3031 4.3031 4.3031 Å, 135.66 135.66 64.51°
With the nearest neighbours (Å) after each atom.
Element x y z (fractional)
Be  0.7500  0.2500  0.5000  8 Be 2.30-2.44, 4 Rh 2.44
Be  0.2500  0.7500  0.5000  8 Be 2.30-2.44, 4 Rh 2.44
Be  0.5000  0.5000  0.0000  4 Rh 2.30, 8 Be 2.44
Rh  0.0000  0.0000  0.0000  12 Be 2.30-2.44

***

# 8
Density functional theory data (PBE) for a relaxed Ba3Nb2N4 crystal.

Cell: 6.3764 11.1278 10.5566 Å, 90.00 90.00 90.00°
With the nearest neighbours (Å) after each atom.
Element x y z (fractional)
Ba  0.6191  0.1587  0.4197  4 N 2.82-3.01
Ba  0.8809  0.8413  0.4197  4 N 2.82-3.01
Ba  0.6191  0.3413  0.0803  4 N 2.82-3.01
Ba  0.8809  0.6587  0.0803  4 N 2.82-3.01
Ba  0.3809  0.8413  0.5803  4 N 2.82-3.01
Ba  0.1191  0.1587  0.5803  4 N 2.82-3.01
Ba  0.3809  0.6587  0.9197  4 N 2.82-3.01
Ba  0.1191  0.3413  0.9197  4 N 2.82-3.01
Ba  0.7500  0.5000  0.4027  6 N 3.03-3.16
Ba  0.7500  0.0000  0.0973  6 N 3.03-3.16
Ba  0.2500  0.5000  0.5973  6 N 3.03-3.16
Ba  0.2500  0.0000  0.9027  6 N 3.03-3.16
Nb  0.7500  0.5000  0.7364  4 N 2.02-2.04
Nb  0.7500  0.0000  0.7636  4 N 2.02-2.04
Nb  0.2500  0.5000  0.2636  4 N 2.02-2.04
Nb  0.2500  0.0000  0.2364  4 N 2.02-2.04
Nb  0.6370  0.2500  0.7500  4 N 2.06-2.16
Nb  0.8630  0.7500  0.7500  4 N 2.06-2.16
Nb  0.3630  0.7500  0.2500  4 N 2.06-2.16
Nb  0.1370  0.2500  0.2500  4 N 2.06-2.16
N  0.8350  0.3506  0.6376  2 Nb 2.04-2.06
N  0.6650  0.6494  0.6376  2 Nb 2.04-2.06
N  0.8350  0.1494  0.8624  2 Nb 2.04-2.06
N  0.6650  0.8506  0.8624  2 Nb 2.04-2.06
N  0.1650  0.6494  0.3624  2 Nb 2.04-2.06
N  0.3350  0.3506  0.3624  2 Nb 2.04-2.06
N  0.1650  0.8506  0.1376  2 Nb 2.04-2.06
N  0.3350  0.1494  0.1376  2 Nb 2.04-2.06
N  0.5192  0.4143  0.8314  2 Nb 2.02-2.16
N  0.9808  0.5857  0.8314  2 Nb 2.02-2.16
N  0.5192  0.0857  0.6686  2 Nb 2.02-2.16
N  0.9808  0.9143  0.6686  2 Nb 2.02-2.16
N  0.4808  0.5857  0.1686  2 Nb 2.02-2.16
N  0.0192  0.4143  0.1686  2 Nb 2.02-2.16
N  0.4808  0.9143  0.3314  2 Nb 2.02-2.16
N  0.0192  0.0857  0.3314  2 Nb 2.02-2.16

Properties
relative energy among the computed polymorphs = 0.78 kcal/mol of atoms
energy with MP2020 corrections = -269.3 eV per cell
total magnetization = 0.00 μB/f.u.

***

Values of ΔE_f, in order: -2.511 -0.504 -0.425 -2.163 -1.190 -1.405 -0.433 -0.892, all in eV per atom.
Values of raw total energy, in order: -6.00 -3.95 -4.91 -5.83 -7.69 -4.77 -5.08 -7.32, all in eV/atom.